# 1
A relaxed structure of Dy2MnGe4. Source: Materials Project, functional GGA-PBE.

```
Dy2MnGe4
1.0
1.503 3.422 2.002
-2.411 2.507 -2.476
-6.944 0.783 3.875
Mn Ge Dy
1 4 2
Cartesian
-5.490 3.079 1.103 Mn
-0.810 3.760 0.915 Ge
-4.111 4.842 1.544 Ge
-3.597 1.882 1.728 Ge
-7.235 2.937 2.657 Ge
-3.200 3.267 -0.937 Dy
-4.660 3.444 4.345 Dy
```

Total energy ... -5.81 eV/atom
ΔH_f (0 K) ... -540 meV per atom

***

# 2
A relaxed structure of Hg3Pd. Source: Materials Project, functional GGA-PBE.

```
Hg3Pd
1.0
-1.187 4.822 3.261
-0.294 0.276 -5.927
-5.293 -1.435 0.195
Hg Pd
6 2
Cartesian
-2.354 3.066 -2.718 Hg
-1.768 0.684 -4.329 Hg
-5.152 3.115 -1.071 Hg
-5.006 2.979 1.858 Hg
-4.420 0.596 0.247 Hg
-1.623 0.548 -1.400 Hg
-2.213 2.948 0.247 Pd
-4.561 0.715 -2.718 Pd
```

Total energy ... -1.48 eV/atom
ΔH_f (0 K) ... 43 meV per atom

***

# 3
A relaxed structure of Mg3TiH8. Source: Materials Project, functional GGA-PBE.

```
Mg3TiH8
1.0
4.624 0.000 0.000
0.000 4.624 0.000
0.000 0.000 4.624
H Mg Ti
8 3 1
Cartesian
1.124 3.500 1.124 H
1.124 1.124 3.500 H
3.500 3.500 1.124 H
1.124 1.124 1.124 H
3.500 1.124 3.500 H
1.124 3.500 3.500 H
3.500 3.500 3.500 H
3.500 1.124 1.124 H
2.312 0.000 2.312 Mg
2.312 2.312 0.000 Mg
0.000 2.312 2.312 Mg
0.000 0.000 0.000 Ti
```

Total energy ... -3.48 eV/atom
ΔH_f (0 K) ... -280 meV per atom

***

# 4
A relaxed structure of Cu2H3ClO3. Source: Materials Project, functional GGA-PBE.

```
Cu2H3ClO3
1.0
-2.810 -4.993 -7.199
7.385 -5.114 2.051
-5.668 -3.798 6.319
H Cl O Cu
24 8 24 16
Cartesian
1.363 -1.169 0.364 H
-4.899 -7.470 3.338 H
1.641 -8.083 1.148 H
1.188 -6.080 -1.363 H
-2.725 -7.481 5.175 H
2.177 -5.622 4.520 H
3.806 -6.435 -2.167 H
-2.456 -12.736 0.807 H
-1.265 -1.202 1.326 H
-5.287 -5.327 0.747 H
0.397 -5.880 2.716 H
-4.960 -5.789 -1.869 H
-2.281 -7.825 2.534 H
3.867 -8.116 3.041 H
-1.490 -8.025 -1.545 H
-0.375 -5.648 5.529 H
4.194 -8.578 0.424 H
-0.442 -1.377 -1.494 H
-2.735 -5.822 0.024 H
-3.270 -8.283 -3.348 H
-0.651 -12.528 2.665 H
0.171 -12.703 -0.154 H
-0.718 -8.257 -4.358 H
1.632 -6.424 -4.004 H
3.285 -6.983 1.425 Cl
2.163 -7.595 -2.391 Cl
0.646 -7.014 4.402 Cl
-3.256 -6.310 3.563 Cl
-1.739 -6.891 -3.231 Cl
-0.874 -11.363 0.952 Cl
-4.378 -6.921 -0.254 Cl
-0.219 -2.542 0.220 Cl
-1.740 -8.393 1.930 O
-3.734 -10.111 -1.027 O
0.986 -9.916 5.996 O
2.168 -10.517 -0.701 O
-1.320 -3.754 3.675 O
5.149 -4.384 1.536 O
-0.945 -9.887 4.339 O
-6.242 -9.521 -0.364 O
0.647 -5.512 -0.759 O
0.227 -10.151 -2.504 O
-2.622 -3.951 -2.276 O
-3.857 -3.132 4.348 O
1.529 -9.954 3.447 O
0.724 -8.460 0.999 O
3.214 -4.048 -0.257 O
-2.079 -3.989 -4.825 O
0.140 -5.507 1.831 O
2.764 -10.772 -3.177 O
-3.262 -3.388 1.873 O
-1.233 -8.398 -0.659 O
2.641 -3.794 2.198 O
-0.148 -4.018 -3.168 O
-4.307 -9.857 1.428 O
-1.817 -5.445 0.172 O
-1.405 -2.496 -3.599 Cu
-2.834 -1.899 3.159 Cu
-1.006 -4.783 -1.528 Cu
-0.087 -9.122 2.700 Cu
-6.001 -8.760 1.402 Cu
3.693 -2.557 1.026 Cu
-0.547 -6.952 0.586 Cu
1.631 -4.748 0.748 Cu
3.779 -9.865 -1.711 Cu
-2.724 -9.157 0.423 Cu
-4.872 -4.040 2.882 Cu
-2.388 -4.146 5.240 Cu
1.295 -9.759 -4.069 Cu
-1.556 -4.448 1.889 Cu
0.463 -9.457 -0.718 Cu
4.908 -5.145 -0.231 Cu
```

Total energy ... -4.67 eV/atom
E above lowest polymorph ... 0 meV/atom
ΔH_f (0 K) ... -1003 meV per atom

***

# 5
A relaxed structure of Hf9Re4S. Source: Materials Project, functional GGA-PBE.

```
Hf9Re4S
1.0
8.895 4.437 6.909
-9.104 7.174 -3.491
-7.600 -3.720 12.174
Hf Re S
54 24 6
Cartesian
-5.965 2.204 14.794 Hf
-5.216 7.248 4.137 Hf
-4.646 -0.254 8.220 Hf
4.819 5.811 5.518 Hf
-2.593 0.643 11.454 Hf
-4.095 2.407 9.482 Hf
-9.208 3.750 3.691 Hf
-9.670 4.935 11.356 Hf
-12.628 2.080 10.073 Hf
-3.525 4.035 -0.129 Hf
-0.675 4.077 3.100 Hf
-4.323 -0.174 4.771 Hf
-4.871 2.714 6.605 Hf
-8.067 7.206 0.909 Hf
3.661 3.042 6.013 Hf
-6.898 5.596 3.211 Hf
-6.115 0.508 11.698 Hf
-3.486 8.065 10.820 Hf
-1.349 2.849 6.361 Hf
-6.310 6.738 12.326 Hf
-5.889 -2.460 13.313 Hf
-3.848 3.956 3.320 Hf
-6.685 8.009 7.615 Hf
-10.377 5.360 1.389 Hf
-2.938 5.177 8.986 Hf
0.258 0.685 14.683 Hf
-6.672 2.629 4.826 Hf
-7.134 3.814 12.491 Hf
-1.499 1.153 3.265 Hf
-0.762 3.991 15.476 Hf
-3.714 5.484 6.109 Hf
4.438 2.735 8.891 Hf
-6.460 5.042 9.231 Hf
1.861 2.956 4.235 Hf
-7.047 3.900 0.115 Hf
2.568 2.532 14.202 Hf
-1.137 5.262 10.765 Hf
-1.124 -0.118 7.976 Hf
-1.920 10.351 2.278 Hf
1.399 4.141 11.900 Hf
-4.284 3.856 15.720 Hf
-11.470 4.850 9.578 Hf
-3.961 3.935 12.271 Hf
-1.694 7.383 3.893 Hf
-0.911 2.295 12.380 Hf
-3.163 8.145 7.371 Hf
-4.893 7.328 0.689 Hf
-2.916 0.563 14.903 Hf
-4.509 6.823 14.105 Hf
-1.844 5.687 0.798 Hf
-9.882 2.522 6.952 Hf
2.073 5.369 8.639 Hf
-12.247 5.156 6.701 Hf
-3.300 1.068 1.487 Hf
-6.478 5.278 6.117 Re
0.175 2.105 17.303 Re
-1.902 10.115 5.392 Re
-7.984 5.786 -1.712 Re
-1.001 2.742 0.693 Re
-0.758 5.497 5.720 Re
0.647 0.359 9.541 Re
0.362 4.109 7.500 Re
-7.886 0.031 10.133 Re
-9.864 2.286 10.066 Re
1.482 2.721 9.280 Re
-1.331 2.613 9.475 Re
-9.291 5.170 6.311 Re
-5.907 -2.224 10.199 Re
-9.172 6.524 8.784 Re
-6.808 5.149 14.899 Re
0.000 0.000 0.000 Re
-0.639 6.852 8.192 Re
-7.051 2.394 9.871 Re
2.055 5.605 5.525 Re
-7.170 1.039 7.399 Re
-8.171 3.782 8.091 Re
1.363 1.367 6.807 Re
0.077 7.860 5.459 Re
-5.349 7.136 9.373 S
-5.711 3.027 1.874 S
-3.031 8.256 2.135 S
-2.098 4.864 13.718 S
-4.778 -0.365 13.456 S
-2.460 0.755 6.218 S
```

Total energy ... -9.81 eV/atom
E above lowest polymorph ... 881 meV/atom
ΔH_f (0 K) ... 410 meV per atom

***

# 6
A relaxed structure of YNi4As2. Source: Materials Project, functional GGA-PBE.

```
YNi4As2
1.0
7.247 0.000 0.000
0.000 7.247 0.000
0.000 0.000 3.784
Y Ni As
2 8 4
Cartesian
3.624 3.624 0.000 Y
0.000 0.000 1.892 Y
2.980 6.135 1.892 Ni
4.267 1.112 1.892 Ni
2.511 0.644 0.000 Ni
0.644 2.511 0.000 Ni
6.135 2.980 1.892 Ni
6.603 4.736 0.000 Ni
4.736 6.603 0.000 Ni
1.112 4.267 1.892 Ni
2.048 2.048 1.892 As
5.199 5.199 1.892 As
5.672 1.575 0.000 As
1.575 5.672 0.000 As
```

Total energy ... -6.19 eV/atom
ΔH_f (0 K) ... -629 meV per atom

***

# 7
A relaxed structure of Fe2CuN2. Source: Materials Project, functional GGA-PBE.

```
Fe2CuN2
1.0
1.281 -2.069 -2.434
1.281 -2.069 2.434
-5.758 -0.702 0.000
Fe N Cu
2 2 1
Cartesian
-0.958 -3.455 -1.125 Fe
-2.239 -1.386 -1.125 Fe
-0.921 -2.001 0.091 N
-3.557 -0.770 0.091 N
0.640 -1.035 0.090 Cu
```

Total energy ... -7.41 eV/atom
E above lowest polymorph ... 25 meV/atom
ΔH_f (0 K) ... -14 meV per atom

***

# 8
A relaxed structure of Rb2P2Pt. Source: Materials Project, functional GGA-PBE.

```
Rb2P2Pt
1.0
3.324 -7.170 0.000
3.324 7.170 0.000
0.000 0.000 6.319
Rb P Pt
4 4 2
Cartesian
3.324 -1.146 4.739 Rb
3.324 4.125 4.739 Rb
3.324 1.146 1.580 Rb
3.324 -4.125 1.580 Rb
1.097 -1.470 1.580 P
5.550 1.470 4.739 P
1.097 1.470 4.739 P
5.550 -1.470 1.580 P
0.000 0.000 0.000 Pt
0.000 0.000 3.159 Pt
```

Total energy ... -4.28 eV/atom
ΔH_f (0 K) ... -513 meV per atom